First-principles (PBE) data for an optimized crystal structure of Tm2MnOs, as listed in the Materials Project database.

Lattice parameters (Å, degrees): 6.848 6.848 6.848 90.00 90.00 90.00
Sites, in units of the cell vectors:
1 Tm 0.250 0.250 0.250
2 Tm 0.250 0.250 0.750
3 Tm 0.250 0.750 0.250
4 Tm 0.250 0.750 0.750
5 Tm 0.750 0.250 0.250
6 Tm 0.750 0.250 0.750
7 Tm 0.750 0.750 0.250
8 Tm 0.750 0.750 0.750
9 Mn 0.000 0.000 0.000
10 Mn 0.000 0.500 0.500
11 Mn 0.500 0.000 0.500
12 Mn 0.500 0.500 0.000
13 Os 0.000 0.000 0.500
14 Os 0.000 0.500 0.000
15 Os 0.500 0.000 0.000
16 Os 0.500 0.500 0.500

- Uncorrected energy: -7.42 eV per atom
- Space group: Fm-3m (225)